Material: SrAcTl2
Method: DFT, PBE-GGA
State: optimized geometry

energy of formation = -0.396 eV per atom

Cell: 5.8407 5.8407 5.8407 Å, 60.00 60.00 60.00°
Sites, in units of the cell vectors:
Sr 0.0000 0.0000 0.0000
Tl 0.7500 0.7500 0.7500
Tl 0.2500 0.2500 0.2500
Ac 0.5000 0.5000 0.5000